Run P
LiMoP2O7 | GGA+U | optimized geometry

Output
The value obtained for the piezoelectric modulus e_max is 0.3 C/m².

The structure in CIF format:
```
data_LiMoP2O7
_chemical_formula_sum 'Li2 Mo2 P4 O14'
_symmetry_space_group_name_H-M 'C 1 2 1'
_symmetry_Int_Tables_number 5
_cell_length_a 6.714
_cell_length_b 8.478
_cell_length_c 4.596
_cell_angle_alpha 90.00
_cell_angle_beta 103.13
_cell_angle_gamma 90.00
loop_
_symmetry_equiv_pos_as_xyz
'x,y,z'
'-x,y,-z'
'x+1/2,y+1/2,z'
'-x+1/2,y+1/2,-z'
loop_
_atom_site_label
_atom_site_fract_x
_atom_site_fract_y
_atom_site_fract_z
Li1 0.000 0.000 0.000
Mo1 0.000 0.374 0.000
P1 0.206 0.711 0.412
O1 0.000 0.773 0.500
O2 0.135 0.192 0.290
O3 0.175 0.553 0.254
O4 0.246 0.848 0.211
```

=====

Run Q
LiMoP2O7 | GGA+U | optimized geometry

The structure in CIF format:
```
data_LiMoP2O7
_chemical_formula_sum 'Li2 Mo2 P4 O14'
_symmetry_space_group_name_H-M 'P 1 21 1'
_symmetry_Int_Tables_number 4
_cell_length_a 5.005
_cell_length_b 8.597
_cell_length_c 7.145
_cell_angle_alpha 90.00
_cell_angle_beta 108.71
_cell_angle_gamma 90.00
loop_
_symmetry_equiv_pos_as_xyz
'x,y,z'
'-x,y+1/2,-z'
loop_
_atom_site_label
_atom_site_fract_x
_atom_site_fract_y
_atom_site_fract_z
Li1 0.185 0.000 0.167
Mo1 0.209 0.354 0.225
P1 0.216 0.068 0.581
P2 0.403 0.676 0.034
O1 0.043 0.534 0.360
O2 0.141 0.151 0.382
O3 0.206 0.818 0.997
O4 0.238 0.522 0.009
O5 0.392 0.922 0.579
O6 0.399 0.175 0.091
O7 0.409 0.194 0.738
```

=====

Run R
LiMoP2O7 | GGA+U | optimized geometry

The structure in CIF format:
```
data_LiMoP2O7
_chemical_formula_sum 'Li2 Mo2 P4 O14'
_symmetry_space_group_name_H-M 'P -1'
_symmetry_Int_Tables_number 2
_cell_length_a 6.562
_cell_length_b 6.583
_cell_length_c 6.967
_cell_angle_alpha 84.04
_cell_angle_beta 67.03
_cell_angle_gamma 82.22
loop_
_symmetry_equiv_pos_as_xyz
'x,y,z'
'-x,-y,-z'
loop_
_atom_site_label
_atom_site_fract_x
_atom_site_fract_y
_atom_site_fract_z
Li1 0.199 0.011 0.330
Mo1 0.405 0.349 0.724
P1 0.150 0.612 0.149
P2 0.281 0.864 0.736
O1 0.089 0.406 0.704
O2 0.123 0.953 0.633
O3 0.131 0.778 0.964
O4 0.271 0.411 0.047
O5 0.276 0.709 0.254
O6 0.427 0.017 0.760
O7 0.441 0.674 0.623
```

=====

Which structure is most stable? run Q, by 0.022 eV/atom over the runner-up.

=====

Run P
LiMoP4O12 | GGA+U | optimized geometry

The structure in CIF format:
```
data_LiMoP4O12
_chemical_formula_sum 'Li4 Mo4 P16 O48'
_symmetry_space_group_name_H-M 'P 1 21/c 1'
_symmetry_Int_Tables_number 14
_cell_length_a 7.619
_cell_length_b 13.220
_cell_length_c 12.209
_cell_angle_alpha 90.00
_cell_angle_beta 128.10
_cell_angle_gamma 90.00
loop_
_symmetry_equiv_pos_as_xyz
'x,y,z'
'-x,-y,-z'
'-x,y+1/2,-z+1/2'
'x,-y+1/2,z+1/2'
loop_
_atom_site_label
_atom_site_fract_x
_atom_site_fract_y
_atom_site_fract_z
Li1 0.195 0.213 0.048
Mo1 0.429 0.724 0.516
P1 0.055 0.129 0.259
P2 0.158 0.591 0.742
P3 0.310 0.642 0.216
P4 0.418 0.078 0.726
O1 0.047 0.128 0.892
O2 0.062 0.651 0.170
O3 0.112 0.646 0.396
O4 0.113 0.012 0.293
O5 0.265 0.190 0.334
O6 0.275 0.657 0.869
O7 0.302 0.152 0.610
O8 0.308 0.532 0.162
O9 0.321 0.718 0.130
O10 0.331 0.553 0.716
O11 0.424 0.095 0.851
O12 0.483 0.653 0.373
```

=====

Run Q
LiMoP4O12 | GGA+U | optimized geometry

The structure in CIF format:
```
data_LiMoP4O12
_chemical_formula_sum 'Li4 Mo4 P16 O48'
_symmetry_space_group_name_H-M 'P b c n'
_symmetry_Int_Tables_number 60
_cell_length_a 13.000
_cell_length_b 8.352
_cell_length_c 9.602
_cell_angle_alpha 90.00
_cell_angle_beta 90.00
_cell_angle_gamma 90.00
loop_
_symmetry_equiv_pos_as_xyz
'x,y,z'
'-x,-y,-z'
'-x+1/2,-y+1/2,z+1/2'
'x+1/2,y+1/2,-z+1/2'
'x+1/2,-y+1/2,-z'
'-x+1/2,y+1/2,z'
'-x,y,-z+1/2'
'x,-y,z+1/2'
loop_
_atom_site_label
_atom_site_fract_x
_atom_site_fract_y
_atom_site_fract_z
Li1 0.000 0.004 0.250
Mo1 0.000 0.371 0.750
P1 0.137 0.175 0.504
P2 0.154 0.465 0.009
O1 0.065 0.184 0.628
O2 0.074 0.458 0.124
O3 0.103 0.093 0.376
O4 0.131 0.369 0.880
O5 0.178 0.353 0.467
O6 0.239 0.095 0.571
```

=====

Run R
LiMoP4O12 | GGA+U | optimized geometry

The structure in CIF format:
```
data_LiMoP4O12
_chemical_formula_sum 'Li4 Mo4 P16 O48'
_symmetry_space_group_name_H-M 'C 1 2/c 1'
_symmetry_Int_Tables_number 15
_cell_length_a 12.047
_cell_length_b 8.444
_cell_length_c 10.177
_cell_angle_alpha 90.00
_cell_angle_beta 119.32
_cell_angle_gamma 90.00
loop_
_symmetry_equiv_pos_as_xyz
'x,y,z'
'-x,-y,-z'
'-x,y,-z+1/2'
'x,-y,z+1/2'
'x+1/2,y+1/2,z'
'-x+1/2,-y+1/2,-z'
'-x+1/2,y+1/2,-z+1/2'
'x+1/2,-y+1/2,z+1/2'
loop_
_atom_site_label
_atom_site_fract_x
_atom_site_fract_y
_atom_site_fract_z
Li1 0.250 0.250 0.000
Mo1 0.000 0.054 0.750
P1 0.007 0.265 0.476
P2 0.199 0.488 0.696
O1 0.034 0.125 0.407
O2 0.043 0.237 0.915
O3 0.088 0.381 0.156
O4 0.136 0.366 0.555
O5 0.198 0.070 0.823
O6 0.229 0.413 0.840
```

=====

Run S
LiMoP4O12 | GGA+U | optimized geometry

The structure in CIF format:
```
data_LiMoP4O12
_chemical_formula_sum 'Li4 Mo4 P16 O48'
_symmetry_space_group_name_H-M 'C 1 2/c 1'
_symmetry_Int_Tables_number 15
_cell_length_a 15.783
_cell_length_b 7.453
_cell_length_c 9.847
_cell_angle_alpha 90.00
_cell_angle_beta 123.01
_cell_angle_gamma 90.00
loop_
_symmetry_equiv_pos_as_xyz
'x,y,z'
'-x,-y,-z'
'-x,y,-z+1/2'
'x,-y,z+1/2'
'x+1/2,y+1/2,z'
'-x+1/2,-y+1/2,-z'
'-x+1/2,y+1/2,-z+1/2'
'x+1/2,-y+1/2,z+1/2'
loop_
_atom_site_label
_atom_site_fract_x
_atom_site_fract_y
_atom_site_fract_z
Li1 0.000 0.192 0.250
Mo1 0.000 0.364 0.750
P1 0.132 0.076 0.634
P2 0.141 0.329 0.170
O1 0.070 0.409 0.212
O2 0.074 0.072 0.455
O3 0.103 0.199 0.723
O4 0.119 0.362 0.003
O5 0.142 0.121 0.211
O6 0.249 0.110 0.695
```

=====

Which structure is most stable? run Q, by 0.009 eV/atom over the runner-up.

=====

Run P
LiSm4Mo4O14 | GGA+U | optimized geometry

The structure in CIF format:
```
data_LiSm4Mo4O14
_chemical_formula_sum 'Li1 Sm4 Mo4 O14'
_symmetry_space_group_name_H-M 'P 1'
_symmetry_Int_Tables_number 1
_cell_length_a 7.488
_cell_length_b 7.489
_cell_length_c 7.491
_cell_angle_alpha 60.77
_cell_angle_beta 60.78
_cell_angle_gamma 60.77
loop_
_symmetry_equiv_pos_as_xyz
'x,y,z'
loop_
_atom_site_label
_atom_site_fract_x
_atom_site_fract_y
_atom_site_fract_z
Li1 0.000 0.000 0.000
Sm1 0.372 0.876 0.376
Sm2 0.373 0.374 0.375
Sm3 0.376 0.372 0.876
Sm4 0.875 0.377 0.372
Mo1 0.387 0.868 0.872
Mo2 0.867 0.872 0.388
Mo3 0.868 0.869 0.869
Mo4 0.871 0.388 0.868
O1 0.195 0.790 0.206
O2 0.205 0.196 0.788
O3 0.214 0.798 0.780
O4 0.248 0.249 0.249
O5 0.499 0.500 0.500
O6 0.526 0.959 0.974
O7 0.536 0.544 0.968
O8 0.543 0.967 0.537
O9 0.779 0.215 0.799
O10 0.788 0.206 0.196
O11 0.797 0.780 0.215
O12 0.956 0.975 0.528
O13 0.967 0.537 0.544
O14 0.973 0.527 0.958
```

=====

Run Q
LiSm4Mo4O14 | GGA+U | optimized geometry

The structure in CIF format:
```
data_LiSm4Mo4O14
_chemical_formula_sum 'Li1 Sm4 Mo4 O14'
_symmetry_space_group_name_H-M 'P 1'
_symmetry_Int_Tables_number 1
_cell_length_a 7.477
_cell_length_b 7.480
_cell_length_c 7.507
_cell_angle_alpha 60.74
_cell_angle_beta 60.75
_cell_angle_gamma 60.63
loop_
_symmetry_equiv_pos_as_xyz
'x,y,z'
loop_
_atom_site_label
_atom_site_fract_x
_atom_site_fract_y
_atom_site_fract_z
Li1 0.000 0.000 0.000
Sm1 0.273 0.716 0.258
Sm2 0.275 0.723 0.738
Sm3 0.291 0.233 0.740
Sm4 0.760 0.716 0.761
Mo1 0.259 0.229 0.248
Mo2 0.760 0.232 0.253
Mo3 0.760 0.726 0.252
Mo4 0.765 0.230 0.741
O1 0.088 0.137 0.582
O2 0.099 0.553 0.156
O3 0.109 0.147 0.147
O4 0.129 0.605 0.628
O5 0.364 0.861 0.883
O6 0.413 0.316 0.350
O7 0.422 0.893 0.344
O8 0.435 0.321 0.904
O9 0.665 0.581 0.155
O10 0.674 0.572 0.581
O11 0.680 0.119 0.600
O12 0.850 0.315 0.906
O13 0.862 0.896 0.925
O14 0.871 0.888 0.309
```

=====

Which structure is most stable? run Q, by 0.032 eV/atom over the runner-up.